No. 1
Entry from the Materials Project: a relaxed PuCu2 crystal (GGA-PBE).

Geometry as POSCAR:
```
PuCu2
1.0
3.217 -0.690 4.314
-4.342 -2.203 2.394
3.047 -1.528 -4.220
Cu Pu
4 2
direct
0.779 0.837 0.942
0.395 0.837 0.558
0.605 0.163 0.442
0.221 0.163 0.058
0.201 0.451 0.750
0.799 0.549 0.250
```

Calculated values
Calculated formation energy   -0.017 eV per atom

No. 2
Entry from the Materials Project: a relaxed K3P6N11 crystal (GGA-PBE).

Geometry as POSCAR:
```
K3P6N11
1.0
-5.062 -8.307 -3.939
2.903 -5.711 8.313
-8.723 2.920 5.052
P N K
24 44 12
direct
0.301 0.072 0.215
0.035 0.822 0.551
0.322 0.949 0.965
0.928 0.715 0.199
0.678 0.449 0.535
0.699 0.572 0.285
0.965 0.322 0.949
0.051 0.465 0.178
0.449 0.535 0.678
0.801 0.428 0.785
0.715 0.199 0.928
0.785 0.801 0.428
0.822 0.551 0.035
0.285 0.699 0.572
0.199 0.928 0.715
0.572 0.285 0.699
0.949 0.965 0.322
0.551 0.035 0.822
0.072 0.215 0.301
0.535 0.678 0.449
0.465 0.178 0.051
0.178 0.051 0.465
0.215 0.301 0.072
0.428 0.785 0.801
0.721 0.514 0.146
0.604 0.236 0.029
0.053 0.875 0.697
0.514 0.146 0.721
0.797 0.703 0.297
0.854 0.221 0.986
0.047 0.953 0.453
0.029 0.604 0.236
0.697 0.053 0.875
0.986 0.854 0.221
0.764 0.529 0.896
0.453 0.047 0.953
0.646 0.779 0.486
0.553 0.625 0.303
0.203 0.203 0.203
0.104 0.264 0.971
0.779 0.486 0.646
0.803 0.947 0.375
0.529 0.896 0.764
0.896 0.764 0.529
0.354 0.279 0.014
0.236 0.029 0.604
0.279 0.014 0.354
0.971 0.104 0.264
0.447 0.125 0.197
0.396 0.736 0.471
0.625 0.303 0.553
0.125 0.197 0.447
0.146 0.721 0.514
0.875 0.697 0.053
0.703 0.297 0.797
0.953 0.453 0.047
0.947 0.375 0.803
0.547 0.547 0.547
0.486 0.646 0.779
0.014 0.354 0.279
0.197 0.447 0.125
0.221 0.986 0.854
0.471 0.396 0.736
0.303 0.553 0.625
0.375 0.803 0.947
0.264 0.971 0.104
0.297 0.797 0.703
0.736 0.471 0.396
0.001 0.499 0.501
0.125 0.625 0.875
0.375 0.375 0.375
0.251 0.749 0.249
0.249 0.251 0.749
0.625 0.875 0.125
0.751 0.751 0.751
0.999 0.999 0.999
0.501 0.001 0.499
0.499 0.501 0.001
0.749 0.249 0.251
0.875 0.125 0.625
```

Calculated values
Calculated formation energy   -0.811 eV per atom

No. 3
Entry from the Materials Project: a relaxed Na2Ta5In3Si6S6O48 crystal (GGA-PBE).

Geometry as POSCAR:
```
Na2Ta5In3Si6S6O48
1.0
-13.269 10.534 -5.591
-1.821 -7.876 3.680
-0.912 9.891 20.834
O Ta Na S In Si
144 15 6 18 9 18
direct
0.745 0.358 0.136
0.317 0.120 0.135
0.089 0.215 0.692
0.322 0.154 0.420
0.244 0.367 0.420
0.249 0.860 0.359
0.938 0.361 0.636
0.573 0.489 0.859
0.581 0.947 0.913
0.760 0.837 0.469
0.246 0.363 0.136
0.429 0.501 0.138
0.765 0.696 0.974
0.409 0.022 0.089
0.883 0.961 0.700
0.405 0.973 0.694
0.222 0.295 0.032
0.749 0.646 0.859
0.600 0.188 0.093
0.657 0.481 0.758
0.583 0.190 0.695
0.308 0.505 0.920
0.904 0.765 0.300
0.425 0.809 0.307
0.244 0.128 0.636
0.862 0.567 0.525
0.319 0.492 0.638
0.737 0.169 0.244
0.093 0.151 0.806
0.518 0.188 0.922
0.725 0.301 0.032
0.016 0.843 0.416
0.746 0.341 0.417
0.019 0.195 0.907
0.685 0.498 0.078
0.740 0.117 0.918
0.967 0.154 0.309
0.083 0.473 0.261
0.416 0.294 0.243
0.427 0.295 0.531
0.819 0.141 0.139
0.815 0.489 0.920
0.083 0.976 0.192
0.574 0.690 0.468
0.928 0.560 0.032
0.157 0.833 0.975
0.116 0.062 0.305
0.436 0.361 0.634
0.341 0.137 0.030
0.849 0.168 0.746
0.764 0.859 0.765
0.518 0.835 0.410
0.263 0.687 0.971
0.577 0.189 0.403
0.401 0.969 0.406
0.916 0.318 0.236
0.513 0.819 0.699
0.929 0.364 0.915
0.825 0.505 0.639
0.570 0.466 0.257
0.752 0.133 0.639
0.585 0.485 0.973
0.260 0.673 0.270
0.084 0.684 0.474
0.748 0.855 0.073
0.492 0.184 0.593
0.916 0.013 0.099
0.181 0.861 0.860
0.922 0.525 0.745
0.936 0.510 0.135
0.159 0.478 0.766
0.572 0.633 0.071
0.414 0.812 0.599
0.344 0.170 0.733
0.161 0.475 0.472
0.074 0.655 0.359
0.181 0.493 0.077
0.076 0.685 0.760
0.486 0.175 0.301
0.079 0.508 0.861
0.769 0.694 0.248
0.498 0.826 0.085
0.431 0.370 0.914
0.258 0.659 0.864
0.565 0.493 0.576
0.388 0.825 0.195
0.894 0.955 0.418
0.478 0.772 0.802
0.253 0.858 0.076
0.762 0.883 0.364
0.515 0.215 0.197
0.264 0.842 0.475
0.618 0.172 0.808
0.993 0.189 0.589
0.822 0.125 0.426
0.259 0.834 0.758
0.673 0.844 0.569
0.100 0.185 0.096
0.994 0.801 0.097
0.745 0.318 0.737
0.245 0.635 0.572
0.078 0.955 0.908
0.434 0.520 0.419
0.749 0.640 0.574
0.728 0.161 0.526
0.155 0.834 0.255
0.410 0.047 0.809
0.226 0.143 0.531
0.652 0.475 0.471
0.926 0.306 0.531
0.599 0.978 0.198
0.010 0.189 0.196
0.859 0.173 0.028
0.608 0.036 0.303
0.842 0.529 0.233
0.663 0.857 0.259
0.102 0.015 0.591
0.932 0.484 0.418
0.902 0.820 0.196
0.424 0.527 0.739
0.066 0.500 0.576
0.901 0.836 0.901
0.355 0.546 0.525
0.982 0.784 0.802
0.067 0.638 0.077
0.672 0.857 0.863
0.412 0.543 0.026
0.015 0.806 0.698
0.243 0.169 0.231
0.911 0.030 0.803
0.658 0.845 0.970
0.394 0.824 0.916
0.174 0.485 0.365
0.578 0.694 0.757
0.250 0.149 0.921
0.082 0.475 0.975
0.561 0.649 0.362
0.593 0.014 0.600
0.240 0.307 0.743
0.085 0.214 0.419
0.349 0.518 0.242
0.683 0.489 0.355
0.184 0.868 0.579
0.919 0.831 0.593
0.171 0.676 0.521
0.326 0.334 0.690
0.499 0.002 0.645
0.664 0.646 0.812
0.667 0.664 0.024
0.834 0.320 0.186
0.162 0.664 0.019
0.002 0.014 0.149
0.827 0.328 0.682
0.340 0.348 0.189
0.005 0.006 0.863
0.493 0.994 0.362
0.163 0.678 0.307
0.168 0.674 0.809
0.672 0.659 0.525
0.336 0.315 0.840
0.836 0.345 0.346
0.832 0.339 0.839
0.324 0.318 0.338
0.993 0.974 0.499
0.501 0.996 0.999
0.188 0.041 0.584
0.523 0.669 0.415
0.811 0.953 0.418
0.998 0.704 0.752
0.165 0.384 0.417
0.308 0.669 0.917
0.499 0.710 0.750
0.688 0.333 0.084
0.331 0.038 0.083
0.500 0.288 0.249
0.190 0.335 0.084
0.979 0.627 0.084
0.854 0.706 0.246
0.478 0.334 0.584
0.980 0.338 0.582
0.648 0.004 0.252
0.853 0.004 0.753
0.662 0.943 0.916
0.998 0.005 0.651
0.836 0.332 0.976
0.494 0.980 0.149
0.831 0.349 0.479
0.006 0.000 0.354
0.334 0.336 0.480
0.504 0.028 0.852
0.340 0.336 0.976
0.671 0.669 0.313
0.356 0.714 0.253
0.478 0.627 0.079
0.306 0.959 0.415
0.522 0.374 0.918
0.023 0.384 0.914
0.668 0.379 0.413
0.835 0.042 0.080
0.998 0.284 0.255
0.808 0.663 0.917
0.021 0.665 0.417
0.140 0.284 0.751
0.841 0.636 0.582
0.146 0.007 0.248
0.357 0.003 0.749
0.333 0.621 0.581
0.646 0.284 0.750
0.170 0.957 0.916
0.687 0.039 0.580
```

Calculated values
Calculated formation energy   -2.588 eV per atom

No. 4
Entry from the Materials Project: a relaxed RbMg3 crystal (GGA-PBE).

Geometry as POSCAR:
```
RbMg3
1.0
4.245 -7.353 0.000
4.245 7.353 0.000
0.000 0.000 5.108
Mg Rb
6 2
direct
0.876 0.124 0.750
0.876 0.753 0.750
0.124 0.876 0.250
0.124 0.247 0.250
0.753 0.876 0.250
0.247 0.124 0.750
0.333 0.667 0.750
0.667 0.333 0.250
```

Calculated values
Calculated formation energy   0.260 eV per atom

No. 5
Entry from the Materials Project: a relaxed SrLiH3 crystal (GGA-PBE).

Geometry as POSCAR:
```
SrLiH3
1.0
4.631 0.000 0.000
0.000 4.631 0.000
0.000 0.000 4.631
Li H Sr
1 3 1
direct
0.000 0.000 0.000
0.500 0.000 0.500
0.500 0.500 0.000
0.000 0.500 0.500
0.500 0.500 0.500
```

Calculated values
Calculated formation energy   -0.132 eV per atom

No. 6
Entry from the Materials Project: a relaxed YMg6NbO8 crystal (GGA-PBE).

Geometry as POSCAR:
```
YMg6NbO8
1.0
-2.007 8.747 0.448
-3.403 -0.923 2.776
2.748 0.450 3.519
Mg O Nb Y
6 8 1 1
direct
0.263 0.000 0.500
0.500 0.500 0.500
0.000 0.500 0.500
0.263 0.500 0.000
0.737 0.000 0.500
0.737 0.500 0.000
0.000 0.500 0.000
0.500 0.500 0.000
0.500 0.000 0.500
0.249 0.000 0.000
0.250 0.500 0.500
0.751 0.000 0.000
0.000 0.000 0.500
0.750 0.500 0.500
0.500 0.000 0.000
0.000 0.000 0.000
```

Calculated values
Calculated formation energy   -2.649 eV per atom

No. 7
Entry from the Materials Project: a relaxed AsPRh4 crystal (GGA-PBE).

Geometry as POSCAR:
```
AsPRh4
1.0
6.659 -1.999 0.000
6.659 1.999 0.000
6.059 0.000 3.410
Rh As P
4 1 1
direct
0.121 0.121 0.121
0.879 0.879 0.879
0.628 0.628 0.628
0.372 0.372 0.372
0.500 0.500 0.500
0.000 0.000 0.000
```

Calculated values
Calculated formation energy   -0.597 eV per atom

No. 8
Entry from the Materials Project: a relaxed Sr11Ga4Sn3 crystal (GGA-PBE).

Geometry as POSCAR:
```
Sr11Ga4Sn3
1.0
0.000 8.658 8.658
8.658 0.000 8.658
8.658 8.658 0.000
Ga Sr Sn
8 22 6
direct
0.306 0.306 0.306
0.694 0.694 0.919
0.306 0.306 0.081
0.306 0.081 0.306
0.919 0.694 0.694
0.694 0.919 0.694
0.694 0.694 0.694
0.081 0.306 0.306
0.500 0.500 0.834
0.500 0.500 0.166
0.131 0.608 0.131
0.834 0.500 0.500
0.392 0.869 0.869
0.131 0.131 0.131
0.166 0.500 0.500
0.500 0.834 0.166
0.500 0.166 0.500
0.608 0.131 0.131
0.166 0.500 0.834
0.166 0.834 0.500
0.869 0.869 0.869
0.500 0.166 0.834
0.834 0.166 0.500
0.869 0.392 0.869
0.500 0.834 0.500
0.000 0.000 0.000
0.500 0.500 0.500
0.131 0.131 0.608
0.834 0.500 0.166
0.869 0.869 0.392
0.217 0.217 0.783
0.783 0.217 0.783
0.783 0.217 0.217
0.783 0.783 0.217
0.217 0.783 0.217
0.217 0.783 0.783
```

Calculated values
Calculated formation energy   -0.499 eV per atom

Look up the calculated formation energy of the fourth one.
0.260 eV per atom

The highest calculated formation energy belongs to which entry?
RbMg3